This record from the Materials Project database describes a relaxed structure of TaW3. The functional is PBE-GGA.

Lattice parameters (Å, degrees): 4.548 4.548 4.548 60.00 60.00 60.00
Sites, in units of the cell vectors:
W  0.750  0.750  0.750
W  0.500  0.500  0.500
W  0.250  0.250  0.250
Ta  0.000  0.000  0.000

Output
Energy of formation ... -0.090 eV per atom
Crystal system ... cubic
E ... -12.773 eV/atom
Space group ... Fm-3m (225)

***

This record from the Materials Project database describes a relaxed structure of WN2. The functional is PBE-GGA.

Lattice parameters (Å, degrees): 5.365 5.705 9.434 90.00 90.00 90.00
Sites, in units of the cell vectors:
N  0.536  0.583  0.730
N  0.036  0.917  0.730
N  0.794  0.356  0.493
N  0.206  0.144  0.993
N  0.294  0.644  0.007
N  0.706  0.356  0.993
N  0.706  0.856  0.507
N  0.294  0.144  0.493
N  0.206  0.644  0.507
N  0.536  0.083  0.770
N  0.964  0.083  0.270
N  0.964  0.583  0.230
N  0.464  0.417  0.270
N  0.036  0.417  0.770
N  0.464  0.917  0.230
N  0.794  0.856  0.007
W  0.167  0.408  0.373
W  0.667  0.092  0.373
W  0.333  0.908  0.627
W  0.833  0.092  0.873
W  0.333  0.408  0.873
W  0.167  0.908  0.127
W  0.667  0.592  0.127
W  0.833  0.592  0.627

Output
Energy of formation ... -0.390 eV per atom
Crystal system ... orthorhombic
M_tot ... 0.000 μB per formula unit
E ... -10.026 eV/atom
Space group ... Pbca (61)

***

This record from the Materials Project database describes a relaxed structure of Na4P2O17. The functional is PBE-GGA.

Lattice parameters (Å, degrees): 5.955 10.626 12.825 73.64 76.58 73.73
Sites, in units of the cell vectors:
O  0.137  0.750  0.250
O  0.366  0.091  0.649
O  0.669  0.505  0.040
O  0.838  0.104  0.163
O  0.947  0.782  0.438
O  0.452  0.555  0.196
O  0.203  0.309  0.283
O  0.833  0.282  0.938
O  0.106  0.396  0.337
O  0.634  0.909  0.351
O  0.364  0.671  0.573
O  0.894  0.604  0.663
O  0.162  0.896  0.837
O  0.636  0.329  0.427
O  0.548  0.445  0.804
O  0.203  0.945  0.304
O  0.894  0.591  0.149
O  0.205  0.809  0.783
O  0.392  0.171  0.073
O  0.494  0.797  0.104
O  0.167  0.718  0.062
O  0.797  0.691  0.717
O  0.608  0.829  0.927
O  0.795  0.191  0.217
O  0.214  0.995  0.460
O  0.786  0.005  0.540
O  0.797  0.055  0.696
O  0.863  0.250  0.750
O  0.106  0.409  0.851
O  0.396  0.703  0.396
O  0.506  0.203  0.896
O  0.053  0.218  0.562
O  0.604  0.297  0.604
O  0.331  0.495  0.960
Na  0.313  0.455  0.668
Na  0.564  0.955  0.168
Na  0.416  0.168  0.459
Na  0.958  0.668  0.959
Na  0.042  0.332  0.041
Na  0.687  0.545  0.332
Na  0.436  0.045  0.832
Na  0.584  0.832  0.541
P  0.676  0.300  0.854
P  0.170  0.800  0.354
P  0.324  0.700  0.146
P  0.830  0.200  0.646

Output
Energy of formation ... -0.639 eV per atom
Crystal system ... monoclinic
M_tot ... 15.999 μB per formula unit
E ... -4.878 eV/atom
Space group ... C2/c (15)